Record 1
# Hf2Tl, optimized geometry, DFT PBE
# Energy of formation = 30 meV/atom
# Symmetry = I4/mmm, No. 139
# ρ = 13.7 g/cm³
# Crystal system = tetragonal
data_Hf2Tl
_chemical_formula_sum 'Hf2 Tl1'
_symmetry_space_group_name_H-M 'P 1'
_symmetry_Int_Tables_number 1
_symmetry_space_group_name_Hall 'P 1'
_cell_length_a 5.968
_cell_length_b 5.968
_cell_length_c 5.968
_cell_angle_alpha 145.51
_cell_angle_beta 145.51
_cell_angle_gamma 49.58
loop_
_atom_site_label
_atom_site_fract_x
_atom_site_fract_y
_atom_site_fract_z
Hf1 0.167 0.167 0.000
Hf2 0.833 0.833 0.000
Tl1 0.500 0.500 0.000

---

Record 2
# HfTl3, optimized geometry, DFT PBE
# Energy of formation = 255 meV/atom
# Symmetry = I4/mmm, No. 139
# ρ = 13.2 g/cm³
# Crystal system = tetragonal
data_HfTl3
_chemical_formula_sum 'Hf1 Tl3'
_symmetry_space_group_name_H-M 'P 1'
_symmetry_Int_Tables_number 1
_symmetry_space_group_name_Hall 'P 1'
_cell_length_a 5.953
_cell_length_b 5.953
_cell_length_c 5.953
_cell_angle_alpha 136.16
_cell_angle_beta 136.16
_cell_angle_gamma 63.73
loop_
_atom_site_label
_atom_site_fract_x
_atom_site_fract_y
_atom_site_fract_z
Hf1 0.000 0.000 0.000
Tl1 0.250 0.750 0.500
Tl2 0.750 0.250 0.500
Tl3 0.500 0.500 0.000

---

Record 3
# HfV2, optimized geometry, DFT PBE
# Energy of formation = 34 meV/atom
# Symmetry = Imma, No. 74
# ρ = 9.5 g/cm³
# Crystal system = orthorhombic
data_HfV2
_chemical_formula_sum 'Hf2 V4'
_symmetry_space_group_name_H-M 'P 1'
_symmetry_Int_Tables_number 1
_symmetry_space_group_name_Hall 'P 1'
_cell_length_a 5.169
_cell_length_b 5.169
_cell_length_c 5.169
_cell_angle_alpha 120.58
_cell_angle_beta 118.82
_cell_angle_gamma 90.53
loop_
_atom_site_label
_atom_site_fract_x
_atom_site_fract_y
_atom_site_fract_z
V1 0.500 0.000 0.500
V2 0.500 0.500 0.500
V3 0.000 0.000 0.000
V4 0.500 0.000 0.000
Hf1 0.125 0.375 0.750
Hf2 0.875 0.625 0.250

---

Record 4
# HfV2, optimized geometry, DFT PBE
# Energy of formation = 34 meV/atom
# Symmetry = I4_1/amd, No. 141
# ρ = 9.5 g/cm³
# Crystal system = tetragonal
data_HfV2
_chemical_formula_sum 'Hf2 V4'
_symmetry_space_group_name_H-M 'P 1'
_symmetry_Int_Tables_number 1
_symmetry_space_group_name_Hall 'P 1'
_cell_length_a 5.148
_cell_length_b 5.148
_cell_length_c 5.148
_cell_angle_alpha 118.67
_cell_angle_beta 118.67
_cell_angle_gamma 92.32
loop_
_atom_site_label
_atom_site_fract_x
_atom_site_fract_y
_atom_site_fract_z
V1 0.375 0.125 0.250
V2 0.875 0.625 0.750
V3 0.875 0.125 0.750
V4 0.875 0.125 0.250
Hf1 0.500 0.500 0.000
Hf2 0.250 0.750 0.500

---

Record 5
# HfV2, optimized geometry, DFT PBE
# Energy of formation = 35 meV/atom
# Symmetry = Fd-3m, No. 227
# ρ = 9.5 g/cm³
# Crystal system = cubic
data_HfV2
_chemical_formula_sum 'Hf2 V4'
_symmetry_space_group_name_H-M 'P 1'
_symmetry_Int_Tables_number 1
_symmetry_space_group_name_Hall 'P 1'
_cell_length_a 5.173
_cell_length_b 5.173
_cell_length_c 5.173
_cell_angle_alpha 60.00
_cell_angle_beta 60.00
_cell_angle_gamma 60.00
loop_
_atom_site_label
_atom_site_fract_x
_atom_site_fract_y
_atom_site_fract_z
V1 0.125 0.625 0.625
V2 0.625 0.625 0.625
V3 0.625 0.625 0.125
V4 0.625 0.125 0.625
Hf1 0.000 0.000 0.000
Hf2 0.250 0.250 0.250

---

Record 6
# Hf4W, optimized geometry, DFT PBE
# Energy of formation = 1173 meV/atom
# Symmetry = Fd-3m, No. 227
# ρ = 12.1 g/cm³
# Crystal system = cubic
data_Hf4W
_chemical_formula_sum 'Hf8 W2'
_symmetry_space_group_name_H-M 'P 1'
_symmetry_Int_Tables_number 1
_symmetry_space_group_name_Hall 'P 1'
_cell_length_a 7.040
_cell_length_b 7.040
_cell_length_c 7.040
_cell_angle_alpha 60.00
_cell_angle_beta 60.00
_cell_angle_gamma 60.00
loop_
_atom_site_label
_atom_site_fract_x
_atom_site_fract_y
_atom_site_fract_z
Hf1 0.605 0.605 0.605
Hf2 0.186 0.605 0.605
Hf3 0.145 0.145 0.145
Hf4 0.145 0.564 0.145
Hf5 0.145 0.145 0.564
Hf6 0.605 0.186 0.605
Hf7 0.564 0.145 0.145
Hf8 0.605 0.605 0.186
W1 0.000 0.000 0.000
W2 0.750 0.750 0.750